First-principles (r2SCAN) data for a geometry-optimized UAl3 structure, as listed in the Materials Project.

a = 4.2799 Å, b = 4.2799 Å, c = 4.2799 Å
α = 90.00°, β = 90.00°, γ = 90.00°
Last column: nearest neighbours and their distance in Å.
Space group Pm-3m (No. 221)
Symmetry-distinct sites (fractional):
U 0.0000 0.0000 0.0000  12 Al 3.03
Al 0.0000 0.5000 0.5000  4 U 3.03, 8 Al 3.03

## Properties
Total magnetic moment in μB per cell: 2.66
Calculated formation energy in eV per atom: -0.265
DFT total energy in eV/f.u.: -101.2
V in Å³/f.u.: 78.40